Entry 1:
Density functional theory data (PBE-GGA) for a relaxed structure of Mn2CoSi.

Calculated values
Total energy: -8.08 eV/atom
DFT formation energy: -0.3515 eV/atom
Space-group type: No. 216

Cell lengths 3.979, 3.979, 3.979 Å; angles 60.00, 60.00, 60.00 degrees
Positions (direct):
Si 0.250 0.250 0.250
Mn 0.000 0.000 0.000
Mn 0.750 0.750 0.750
Co 0.500 0.500 0.500

Entry 2:
Density functional theory data (PBE-GGA) for a relaxed structure of MnVCo4Si2.

Calculated values
Total energy: -7.64 eV/atom
DFT formation energy: -0.4314 eV/atom
Space-group type: No. 166

Cell lengths 6.919, 6.919, 6.919 Å; angles 33.58, 33.58, 33.58 degrees
Positions (direct):
Co 0.125 0.125 0.125
Si 0.250 0.250 0.250
V 0.500 0.500 0.500
Co 0.875 0.875 0.875
Co 0.375 0.375 0.375
Co 0.625 0.625 0.625
Mn 0.000 0.000 0.000
Si 0.750 0.750 0.750

Entry 3:
Density functional theory data (PBE-GGA) for a relaxed structure of SmMn4Co8.

Calculated values
Total energy: -7.53 eV/atom
DFT formation energy: 0.0233 eV/atom
Space-group type: No. 139

Cell lengths 4.558, 6.376, 6.376 Å; angles 82.66, 69.06, 69.06 degrees
Positions (direct):
Mn 0.000 0.000 0.500
Co 0.270 0.230 0.230
Mn 0.500 0.500 0.000
Co 0.360 0.640 0.640
Co 0.500 0.230 0.770
Co 0.640 0.360 0.360
Mn 0.500 0.000 0.500
Co 0.000 0.360 0.640
Sm 0.000 0.000 0.000
Co 0.000 0.640 0.360
Mn 0.000 0.500 0.000
Co 0.730 0.770 0.770
Co 0.500 0.770 0.230

Entry 4:
Density functional theory data (PBE-GGA) for a relaxed structure of Mn2CoSn.

Calculated values
Total energy: -7.24 eV/atom
DFT formation energy: 0.1224 eV/atom
Space-group type: No. 216

Cell lengths 4.343, 4.343, 4.343 Å; angles 60.00, 60.00, 60.00 degrees
Positions (direct):
Co 0.500 0.500 0.500
Mn 0.000 0.000 0.000
Mn 0.750 0.750 0.750
Sn 0.250 0.250 0.250

Entry 5:
Density functional theory data (PBE-GGA) for a relaxed structure of MnCoTe.

Calculated values
Total energy: -6.56 eV/atom
DFT formation energy: -0.2276 eV/atom
Space-group type: No. 216

Cell lengths 4.146, 4.146, 4.146 Å; angles 60.00, 60.00, 60.00 degrees
Positions (direct):
Co 0.250 0.250 0.250
Te 0.500 0.500 0.500
Mn 0.000 0.000 0.000

Entry 6:
Density functional theory data (PBE-GGA) for a relaxed structure of ThMn2Co3.

Calculated values
Total energy: -7.95 eV/atom
DFT formation energy: -0.1059 eV/atom
Space-group type: No. 191

Cell lengths 5.113, 5.113, 3.904 Å; angles 90.00, 90.00, 120.00 degrees
Positions (direct):
Co 0.500 0.000 0.500
Co 0.000 0.500 0.500
Co 0.500 0.500 0.500
Mn 0.667 0.333 0.000
Mn 0.333 0.667 0.000
Th 0.000 0.000 0.000

Entry 7:
Density functional theory data (PBE-GGA) for a relaxed structure of Ti2MnCo.

Calculated values
Total energy: -8.40 eV/atom
DFT formation energy: -0.3852 eV/atom
Space-group type: No. 225

Cell lengths 4.199, 4.199, 4.199 Å; angles 60.00, 60.00, 60.00 degrees
Positions (direct):
Co 0.500 0.500 0.500
Ti 0.750 0.750 0.750
Ti 0.250 0.250 0.250
Mn 0.000 0.000 0.000

Entry 8:
Density functional theory data (PBE-GGA) for a relaxed structure of UMnCo.

Calculated values
Total energy: -9.29 eV/atom
DFT formation energy: -0.1003 eV/atom
Space-group type: No. 74

Cell lengths 4.946, 4.946, 4.946 Å; angles 90.15, 60.20, 120.38 degrees
Positions (direct):
Mn 0.750 0.375 0.375
Mn 0.250 0.875 0.375
Co 0.250 0.375 0.375
U 0.500 0.752 0.748
Co 0.750 0.375 0.875
U 0.000 0.998 0.002

Entry 9:
Density functional theory data (PBE-GGA) for a relaxed structure of Y2Mn3Co.

Calculated values
Total energy: -7.77 eV/atom
DFT formation energy: 0.1512 eV/atom
Space-group type: No. 166

Cell lengths 5.121, 5.121, 5.121 Å; angles 61.35, 61.35, 61.35 degrees
Positions (direct):
Co 0.000 0.000 0.000
Y 0.375 0.375 0.375
Mn 0.000 0.500 0.000
Mn 0.000 0.000 0.500
Mn 0.500 0.000 0.000
Y 0.625 0.625 0.625

Entry 10:
Density functional theory data (PBE-GGA) for a relaxed structure of YMn6Co6.

Calculated values
Total energy: -8.01 eV/atom
DFT formation energy: -0.0032 eV/atom
Space-group type: No. 71

Cell lengths 4.669, 6.289, 6.289 Å; angles 97.47, 111.79, 68.21 degrees
Positions (direct):
Mn 0.000 0.635 0.635
Co 0.000 0.000 0.500
Co 0.727 0.773 0.227
Mn 0.500 0.217 0.217
Mn 0.633 0.367 0.633
Mn 0.500 0.783 0.783
Co 0.500 0.000 0.500
Co 0.000 0.500 0.000
Mn 0.367 0.633 0.367
Mn 0.000 0.365 0.365
Y 0.000 0.000 0.000
Co 0.273 0.227 0.773
Co 0.500 0.500 0.000

Entry 11:
Density functional theory data (PBE-GGA) for a relaxed structure of Co3Mo.

Calculated values
Total energy: -8.04 eV/atom
DFT formation energy: -0.0005 eV/atom
Space-group type: No. 221

Cell lengths 3.593, 3.593, 3.593 Å; angles 90.00, 90.00, 90.00 degrees
Positions (direct):
Co 0.500 0.500 0.000
Mo 0.000 0.000 0.000
Co 0.000 0.500 0.500
Co 0.500 0.000 0.500

Entry 12:
Density functional theory data (PBE-GGA) for a relaxed structure of CoMo3.

Calculated values
Total energy: -9.71 eV/atom
DFT formation energy: 0.2010 eV/atom
Space-group type: No. 225

Cell lengths 4.351, 4.351, 4.351 Å; angles 60.00, 60.00, 60.00 degrees
Positions (direct):
Mo 0.250 0.250 0.250
Mo 0.750 0.750 0.750
Mo 0.500 0.500 0.500
Co 0.000 0.000 0.000

- Which of these has the highest DFT formation energy?
  CoMo3

- Which formula does entry 2 have?
  MnVCo4Si2